# 1
An optimized crystal structure of ThH2SO6, computed with GGA-PBE.

Values from the calculation:
For the MP2020-corrected energy, the calculation gives -290.88 eV per cell.

Cell lengths 11.806, 6.099, 7.221 Å; angles 90.00, 90.00, 90.00 degrees
Fractional positions:
1 Th 0.062 0.250 0.149
2 Th 0.438 0.750 0.649
3 Th 0.562 0.250 0.351
4 Th 0.938 0.750 0.851
5 H 0.154 0.008 0.820
6 H 0.154 0.492 0.820
7 H 0.346 0.508 0.320
8 H 0.346 0.992 0.320
9 H 0.654 0.008 0.680
10 H 0.654 0.492 0.680
11 H 0.846 0.508 0.180
12 H 0.846 0.992 0.180
13 S 0.140 0.750 0.447
14 S 0.360 0.250 0.947
15 S 0.640 0.750 0.053
16 S 0.860 0.250 0.553
17 O 0.028 0.750 0.540
18 O 0.084 0.006 0.893
19 O 0.084 0.494 0.893
20 O 0.153 0.551 0.329
21 O 0.153 0.949 0.329
22 O 0.231 0.750 0.590
23 O 0.269 0.250 0.090
24 O 0.347 0.051 0.829
25 O 0.347 0.449 0.829
26 O 0.416 0.506 0.393
27 O 0.416 0.994 0.393
28 O 0.472 0.250 0.040
29 O 0.528 0.750 0.960
30 O 0.584 0.006 0.607
31 O 0.584 0.494 0.607
32 O 0.653 0.551 0.171
33 O 0.653 0.949 0.171
34 O 0.731 0.750 0.910
35 O 0.769 0.250 0.410
36 O 0.847 0.051 0.671
37 O 0.847 0.449 0.671
38 O 0.916 0.506 0.107
39 O 0.916 0.994 0.107
40 O 0.972 0.250 0.460

***

# 2
An optimized crystal structure of TiH9S2O12, computed with GGA-PBE.

Values from the calculation:
For the MP2020-corrected energy, the calculation gives -585.59 eV per cell. Its total magnetization is 0.042 μB per atom.

Cell lengths 9.899, 18.608, 5.568 Å; angles 90.00, 90.00, 90.00 degrees
Fractional positions:
1 Ti 0.000 0.000 0.000
2 Ti 0.000 0.500 0.000
3 Ti 0.500 0.000 0.500
4 Ti 0.500 0.500 0.500
5 H 0.033 0.250 0.060
6 H 0.070 0.102 0.336
7 H 0.070 0.398 0.336
8 H 0.091 0.601 0.667
9 H 0.091 0.899 0.667
10 H 0.156 0.707 0.950
11 H 0.156 0.793 0.950
12 H 0.192 0.205 0.007
13 H 0.192 0.295 0.007
14 H 0.308 0.705 0.507
15 H 0.308 0.795 0.507
16 H 0.344 0.207 0.450
17 H 0.344 0.293 0.450
18 H 0.409 0.101 0.167
19 H 0.409 0.399 0.167
20 H 0.430 0.602 0.836
21 H 0.430 0.898 0.836
22 H 0.467 0.750 0.560
23 H 0.533 0.250 0.440
24 H 0.570 0.102 0.164
25 H 0.570 0.398 0.164
26 H 0.591 0.601 0.833
27 H 0.591 0.899 0.833
28 H 0.656 0.707 0.550
29 H 0.656 0.793 0.550
30 H 0.692 0.205 0.493
31 H 0.692 0.295 0.493
32 H 0.808 0.705 0.993
33 H 0.808 0.795 0.993
34 H 0.844 0.207 0.050
35 H 0.844 0.293 0.050
36 H 0.909 0.101 0.333
37 H 0.909 0.399 0.333
38 H 0.930 0.602 0.664
39 H 0.930 0.898 0.664
40 H 0.967 0.750 0.940
41 S 0.237 0.091 0.718
42 S 0.237 0.409 0.718
43 S 0.263 0.591 0.218
44 S 0.263 0.909 0.218
45 S 0.737 0.091 0.782
46 S 0.737 0.409 0.782
47 S 0.763 0.591 0.282
48 S 0.763 0.909 0.282
49 O 0.009 0.589 0.762
50 O 0.009 0.911 0.762
51 O 0.099 0.060 0.763
52 O 0.099 0.440 0.763
53 O 0.101 0.750 0.909
54 O 0.145 0.250 0.067
55 O 0.170 0.528 0.186
56 O 0.170 0.972 0.186
57 O 0.219 0.633 0.429
58 O 0.219 0.867 0.429
59 O 0.227 0.135 0.498
60 O 0.227 0.365 0.498
61 O 0.273 0.635 0.998
62 O 0.273 0.865 0.998
63 O 0.281 0.133 0.929
64 O 0.281 0.367 0.929
65 O 0.330 0.028 0.686
66 O 0.330 0.472 0.686
67 O 0.355 0.750 0.567
68 O 0.399 0.250 0.409
69 O 0.401 0.560 0.263
70 O 0.401 0.940 0.263
71 O 0.491 0.089 0.262
72 O 0.491 0.411 0.262
73 O 0.509 0.589 0.738
74 O 0.509 0.911 0.738
75 O 0.599 0.060 0.737
76 O 0.599 0.440 0.737
77 O 0.601 0.750 0.591
78 O 0.645 0.250 0.433
79 O 0.670 0.528 0.314
80 O 0.670 0.972 0.314
81 O 0.719 0.633 0.071
82 O 0.719 0.867 0.071
83 O 0.727 0.135 0.002
84 O 0.727 0.365 0.002
85 O 0.773 0.635 0.502
86 O 0.773 0.865 0.502
87 O 0.781 0.133 0.571
88 O 0.781 0.367 0.571
89 O 0.830 0.028 0.814
90 O 0.830 0.472 0.814
91 O 0.855 0.750 0.933
92 O 0.899 0.250 0.091
93 O 0.901 0.560 0.237
94 O 0.901 0.940 0.237
95 O 0.991 0.089 0.238
96 O 0.991 0.411 0.238

***

# 3
An optimized crystal structure of TiH2SO6, computed with GGA-PBE.

Values from the calculation:
For the MP2020-corrected energy, the calculation gives -280.44 eV per cell. Its total magnetization is 0.000 μB per atom. The value obtained for the maximum piezoelectric response is 1.53 C/m2.

Cell lengths 5.151, 8.780, 10.011 Å; angles 90.00, 90.00, 90.00 degrees
Fractional positions:
1 Ti 0.241 0.212 0.378
2 Ti 0.259 0.788 0.878
3 Ti 0.741 0.288 0.622
4 Ti 0.759 0.712 0.122
5 H 0.071 0.070 0.954
6 H 0.115 0.930 0.472
7 H 0.385 0.070 0.972
8 H 0.429 0.930 0.454
9 H 0.571 0.430 0.046
10 H 0.615 0.570 0.528
11 H 0.885 0.430 0.028
12 H 0.929 0.570 0.546
13 S 0.237 0.584 0.323
14 S 0.263 0.416 0.823
15 S 0.737 0.916 0.677
16 S 0.763 0.084 0.177
17 O 0.028 0.136 0.215
18 O 0.034 0.737 0.019
19 O 0.066 0.340 0.740
20 O 0.222 0.388 0.966
21 O 0.235 0.020 0.928
22 O 0.247 0.585 0.794
23 O 0.253 0.415 0.294
24 O 0.265 0.980 0.428
25 O 0.278 0.612 0.466
26 O 0.434 0.660 0.240
27 O 0.466 0.263 0.519
28 O 0.472 0.864 0.715
29 O 0.528 0.364 0.785
30 O 0.534 0.763 0.981
31 O 0.566 0.160 0.260
32 O 0.722 0.112 0.034
33 O 0.735 0.480 0.072
34 O 0.747 0.915 0.206
35 O 0.753 0.085 0.706
36 O 0.765 0.520 0.572
37 O 0.778 0.888 0.534
38 O 0.934 0.840 0.760
39 O 0.966 0.237 0.481
40 O 0.972 0.636 0.285

***

# 4
An optimized crystal structure of Tm2H16S3O20, computed with GGA-PBE.

Values from the calculation:
For the MP2020-corrected energy, the calculation gives -500.26 eV per cell. Its total magnetization is 0.000 μB per atom.

Cell lengths 7.680, 7.680, 18.429 Å; angles 101.47, 101.47, 51.54 degrees
Fractional positions:
1 Tm 0.145 0.189 0.392
2 Tm 0.189 0.145 0.892
3 Tm 0.811 0.855 0.108
4 Tm 0.855 0.811 0.608
5 H 0.051 0.852 0.355
6 H 0.148 0.949 0.145
7 H 0.164 0.829 0.955
8 H 0.171 0.836 0.545
9 H 0.204 0.243 0.247
10 H 0.209 0.493 0.981
11 H 0.243 0.204 0.747
12 H 0.268 0.373 0.805
13 H 0.279 0.462 0.486
14 H 0.284 0.690 0.153
15 H 0.310 0.669 0.607
16 H 0.310 0.716 0.347
17 H 0.331 0.690 0.893
18 H 0.373 0.268 0.305
19 H 0.462 0.279 0.986
20 H 0.493 0.209 0.481
21 H 0.507 0.791 0.519
22 H 0.538 0.721 0.014
23 H 0.627 0.732 0.695
24 H 0.669 0.310 0.107
25 H 0.690 0.284 0.653
26 H 0.690 0.331 0.393
27 H 0.716 0.310 0.847
28 H 0.721 0.538 0.514
29 H 0.732 0.627 0.195
30 H 0.757 0.796 0.253
31 H 0.791 0.507 0.019
32 H 0.796 0.757 0.753
33 H 0.829 0.164 0.455
34 H 0.836 0.171 0.045
35 H 0.852 0.051 0.855
36 H 0.949 0.148 0.645
37 S 0.194 0.248 0.089
38 S 0.248 0.194 0.589
39 S 0.311 0.689 0.750
40 S 0.689 0.311 0.250
41 S 0.752 0.806 0.411
42 S 0.806 0.752 0.911
43 O 0.078 0.227 0.015
44 O 0.093 0.437 0.583
45 O 0.098 0.735 0.712
46 O 0.121 0.481 0.105
47 O 0.133 0.193 0.148
48 O 0.142 0.821 0.133
49 O 0.179 0.858 0.367
50 O 0.191 0.715 0.564
51 O 0.193 0.133 0.648
52 O 0.227 0.078 0.515
53 O 0.239 0.263 0.800
54 O 0.263 0.239 0.300
55 O 0.265 0.902 0.788
56 O 0.285 0.809 0.936
57 O 0.321 0.353 0.953
58 O 0.353 0.321 0.453
59 O 0.404 0.528 0.806
60 O 0.437 0.093 0.083
61 O 0.472 0.596 0.694
62 O 0.481 0.121 0.605
63 O 0.519 0.879 0.395
64 O 0.528 0.404 0.306
65 O 0.563 0.907 0.917
66 O 0.596 0.472 0.194
67 O 0.647 0.679 0.547
68 O 0.679 0.647 0.047
69 O 0.715 0.191 0.064
70 O 0.735 0.098 0.212
71 O 0.737 0.761 0.700
72 O 0.761 0.737 0.200
73 O 0.773 0.922 0.485
74 O 0.807 0.867 0.352
75 O 0.809 0.285 0.436
76 O 0.821 0.142 0.633
77 O 0.858 0.179 0.867
78 O 0.867 0.807 0.852
79 O 0.879 0.519 0.895
80 O 0.902 0.265 0.288
81 O 0.907 0.563 0.417
82 O 0.922 0.773 0.985

***

# 5
An optimized crystal structure of TmHSO5, computed with GGA-PBE.

Values from the calculation:
For the MP2020-corrected energy, the calculation gives -457.04 eV per cell. Its total magnetization is 0.000 μB per atom.

Cell lengths 7.957, 10.893, 10.930 Å; angles 90.00, 132.23, 90.00 degrees
Fractional positions:
1 Tm 0.214 0.062 0.374
2 Tm 0.214 0.438 0.874
3 Tm 0.278 0.573 0.591
4 Tm 0.278 0.927 0.091
5 Tm 0.722 0.073 0.909
6 Tm 0.722 0.427 0.409
7 Tm 0.786 0.562 0.126
8 Tm 0.786 0.938 0.626
9 H 0.028 0.123 0.869
10 H 0.028 0.377 0.369
11 H 0.459 0.591 0.146
12 H 0.459 0.909 0.646
13 H 0.541 0.091 0.354
14 H 0.541 0.409 0.854
15 H 0.972 0.623 0.631
16 H 0.972 0.877 0.131
17 S 0.135 0.170 0.635
18 S 0.135 0.330 0.135
19 S 0.410 0.691 0.367
20 S 0.410 0.809 0.867
21 S 0.590 0.191 0.133
22 S 0.590 0.309 0.633
23 S 0.865 0.670 0.865
24 S 0.865 0.830 0.365
25 O 0.032 0.545 0.632
26 O 0.032 0.955 0.132
27 O 0.046 0.593 0.900
28 O 0.046 0.907 0.400
29 O 0.098 0.199 0.157
30 O 0.098 0.301 0.657
31 O 0.124 0.170 0.494
32 O 0.124 0.330 0.994
33 O 0.231 0.628 0.353
34 O 0.231 0.872 0.853
35 O 0.318 0.740 0.205
36 O 0.318 0.760 0.705
37 O 0.359 0.125 0.784
38 O 0.359 0.375 0.284
39 O 0.407 0.103 0.073
40 O 0.407 0.397 0.573
41 O 0.484 0.013 0.357
42 O 0.484 0.487 0.857
43 O 0.498 0.705 0.983
44 O 0.498 0.795 0.483
45 O 0.502 0.205 0.517
46 O 0.502 0.295 0.017
47 O 0.516 0.513 0.143
48 O 0.516 0.987 0.643
49 O 0.593 0.603 0.427
50 O 0.593 0.897 0.927
51 O 0.641 0.625 0.716
52 O 0.641 0.875 0.216
53 O 0.682 0.240 0.295
54 O 0.682 0.260 0.795
55 O 0.769 0.128 0.147
56 O 0.769 0.372 0.647
57 O 0.876 0.670 0.006
58 O 0.876 0.830 0.506
59 O 0.902 0.699 0.343
60 O 0.902 0.801 0.843
61 O 0.954 0.093 0.600
62 O 0.954 0.407 0.100
63 O 0.968 0.045 0.868
64 O 0.968 0.455 0.368

***

# 6
An optimized crystal structure of UH8S2O12, computed with GGA-PBE.

Values from the calculation:
For the MP2020-corrected energy, the calculation gives -589.24 eV per cell. Its total magnetization is 0.087 μB per atom.

Cell lengths 14.757, 11.166, 5.819 Å; angles 90.00, 90.00, 90.00 degrees
Fractional positions:
1 U 0.170 0.250 0.126
2 U 0.330 0.750 0.626
3 U 0.670 0.250 0.374
4 U 0.830 0.750 0.874
5 H 0.008 0.127 0.868
6 H 0.008 0.373 0.868
7 H 0.014 0.679 0.653
8 H 0.014 0.821 0.653
9 H 0.094 0.056 0.790
10 H 0.094 0.444 0.790
11 H 0.180 0.680 0.981
12 H 0.180 0.820 0.981
13 H 0.320 0.180 0.481
14 H 0.320 0.320 0.481
15 H 0.406 0.556 0.290
16 H 0.406 0.944 0.290
17 H 0.486 0.179 0.153
18 H 0.486 0.321 0.153
19 H 0.492 0.627 0.368
20 H 0.492 0.873 0.368
21 H 0.508 0.127 0.632
22 H 0.508 0.373 0.632
23 H 0.514 0.679 0.847
24 H 0.514 0.821 0.847
25 H 0.594 0.056 0.710
26 H 0.594 0.444 0.710
27 H 0.680 0.680 0.519
28 H 0.680 0.820 0.519
29 H 0.820 0.180 0.019
30 H 0.820 0.320 0.019
31 H 0.906 0.556 0.210
32 H 0.906 0.944 0.210
33 H 0.986 0.179 0.347
34 H 0.986 0.321 0.347
35 H 0.992 0.627 0.132
36 H 0.992 0.873 0.132
37 S 0.148 0.555 0.385
38 S 0.148 0.945 0.385
39 S 0.352 0.055 0.885
40 S 0.352 0.445 0.885
41 S 0.648 0.555 0.115
42 S 0.648 0.945 0.115
43 S 0.852 0.055 0.615
44 S 0.852 0.445 0.615
45 O 0.024 0.250 0.308
46 O 0.075 0.124 0.888
47 O 0.075 0.376 0.888
48 O 0.091 0.566 0.592
49 O 0.091 0.934 0.592
50 O 0.105 0.608 0.179
51 O 0.105 0.892 0.179
52 O 0.167 0.075 0.347
53 O 0.167 0.425 0.347
54 O 0.206 0.750 0.897
55 O 0.237 0.618 0.422
56 O 0.237 0.882 0.422
57 O 0.263 0.118 0.922
58 O 0.263 0.382 0.922
59 O 0.294 0.250 0.397
60 O 0.333 0.575 0.847
61 O 0.333 0.925 0.847
62 O 0.395 0.108 0.679
63 O 0.395 0.392 0.679
64 O 0.409 0.066 0.092
65 O 0.409 0.434 0.092
66 O 0.425 0.624 0.388
67 O 0.425 0.876 0.388
68 O 0.476 0.750 0.808
69 O 0.524 0.250 0.192
70 O 0.575 0.124 0.612
71 O 0.575 0.376 0.612
72 O 0.591 0.566 0.908
73 O 0.591 0.934 0.908
74 O 0.605 0.608 0.321
75 O 0.605 0.892 0.321
76 O 0.667 0.075 0.153
77 O 0.667 0.425 0.153
78 O 0.706 0.750 0.603
79 O 0.737 0.618 0.078
80 O 0.737 0.882 0.078
81 O 0.763 0.118 0.578
82 O 0.763 0.382 0.578
83 O 0.794 0.250 0.103
84 O 0.833 0.575 0.653
85 O 0.833 0.925 0.653
86 O 0.895 0.108 0.821
87 O 0.895 0.392 0.821
88 O 0.909 0.066 0.408
89 O 0.909 0.434 0.408
90 O 0.925 0.624 0.112
91 O 0.925 0.876 0.112
92 O 0.976 0.750 0.692

***

Energy of formation from the pure elements
In order: -2.470 -1.680 -2.161 -1.842 -2.548 -1.793
Unit: eV/atom